Record 1
2
Lattice="-2.139 2.996 0.799 -0.566 -1.332 3.478 3.049 1.854 1.206" Properties=species:S:1:pos:R:3 comment="TbCd (PBE, optimized geometry)" delta_e_f_ev_per_atom=-0.320 sg=Pm-3m volume_a3_per_atom=26.73 pbc="T T T"
Cd 0.000 0.000 0.000
Tb 0.172 1.759 2.742

***

Record 2
4
Lattice="4.616 3.580 -1.505 -0.133 5.580 2.289 -0.619 -5.594 2.173" Properties=species:S:1:pos:R:3 comment="Cd3Te (PBE, optimized geometry)" total_magnetization_mub_per_cell=0.0 delta_e_f_ev_per_atom=-0.025 sg=I4/mmm volume_a3_per_atom=26.18 energy_mp2020_ev_per_atom=-1.503 pbc="T T T"
Cd 3.119 1.283 0.530
Cd 0.744 2.283 2.427
Cd 2.241 4.580 0.392
Te 0.000 0.000 0.000

***

Record 3
4
Lattice="0.299 2.987 3.206 0.401 -4.272 0.935 7.480 0.456 -1.123" Properties=species:S:1:pos:R:3 comment="TlCdTe2 (PBE, optimized geometry)" total_magnetization_mub_per_cell=0.0 delta_e_f_ev_per_atom=-0.432 sg=P-3m1 volume_a3_per_atom=31.65 energy_mp2020_ev_per_atom=-2.825 pbc="T T T"
Te 6.172 -1.499 0.820
Te 2.009 0.669 2.197
Cd 0.000 0.000 0.000
Tl 3.740 0.228 -0.562

***

Record 4
7
Lattice="-3.215 3.215 6.466 3.215 -3.215 6.466 3.215 3.215 -6.466" Properties=species:S:1:pos:R:3 comment="Tl2CdTe4 (PBE, optimized geometry)" total_magnetization_mub_per_cell=0.0 delta_e_f_ev_per_atom=-0.424 sg=I-42m volume_a3_per_atom=38.20 energy_mp2020_ev_per_atom=-3.027 pbc="T T T"
Te -1.437 1.437 7.873
Te 1.437 1.437 5.058
Te 1.437 -1.437 7.873
Te 1.778 1.778 -1.407
Tl 0.000 3.215 3.233
Tl 3.215 0.000 3.233
Cd 0.000 0.000 0.000

***

Record 5
7
Lattice="0.883 -4.745 6.294 -6.791 -0.421 4.076 1.670 -0.981 -7.691" Properties=species:S:1:pos:R:3 comment="Tl2CdTe4 (PBE, optimized geometry)" total_magnetization_mub_per_cell=0.0 delta_e_f_ev_per_atom=-0.425 sg=I-4 volume_a3_per_atom=38.33 energy_mp2020_ev_per_atom=-3.028 pbc="T T T"
Te -2.534 -3.769 2.587
Te -0.077 -0.955 -2.766
Te -5.745 -2.450 5.907
Te -0.120 -5.120 -0.373
Tl 0.000 0.000 0.000
Tl -4.037 -1.992 0.784
Cd -2.954 -2.583 5.185

***

Record 6
36
Lattice="-2.281 4.002 -8.890 -5.643 -7.360 3.773 -5.869 6.854 4.592" Properties=species:S:1:pos:R:3 comment="ThCd5 (PBE, optimized geometry)" total_magnetization_mub_per_cell=0.0 delta_e_f_ev_per_atom=-0.076 sg=P6_3/mmc volume_a3_per_atom=24.42 pbc="T T T"
Cd -2.935 3.427 2.296
Cd -5.756 -0.253 4.182
Cd -4.707 -3.358 -0.304
Cd 0.000 0.000 0.000
Cd -5.177 4.995 -5.056
Cd -8.174 1.086 -3.052
Cd -9.087 6.854 -0.221
Cd -8.587 2.709 1.724
Cd -1.140 2.001 -4.445
Cd -10.423 0.612 5.944
Cd -11.634 2.737 1.223
Cd -2.822 -3.680 1.886
Cd -6.897 1.748 -0.263
Cd -3.507 3.004 -3.386
Cd -5.893 1.993 -4.927
Cd -7.426 4.520 3.940
Cd -2.159 0.759 -1.748
Cd -5.619 2.410 2.527
Cd -5.207 0.788 -2.250
Cd -4.075 5.428 -2.149
Cd -6.520 3.857 -2.229
Cd -7.273 -0.360 1.704
Cd -3.962 -1.679 -2.559
Cd -7.900 1.503 4.402
Cd -8.616 -1.498 4.530
Cd -3.370 2.885 -6.469
Cd -9.828 0.627 -0.191
Cd -10.287 0.492 2.861
Cd -6.367 -1.024 -4.466
Cd -3.966 2.869 -0.335
Th -9.718 3.843 -1.415
Th -4.075 -0.346 0.890
Th -7.329 6.959 -3.012
Th -7.430 -1.768 -1.277
Th -6.363 5.265 0.752
Th -6.464 -3.463 2.487

***

Record 7
8
Lattice="0.000 0.000 -5.021 -3.427 -5.936 0.000 -3.427 5.936 0.000" Properties=species:S:1:pos:R:3 comment="ThCd3 (PBE, optimized geometry)" delta_e_f_ev_per_atom=-0.146 sg=P6_3/mmc volume_a3_per_atom=25.54 pbc="T T T"
Cd -5.240 -0.932 -3.766
Cd -1.614 -0.932 -3.766
Cd -5.240 0.932 -1.255
Cd -3.427 -4.072 -3.766
Cd -1.614 0.932 -1.255
Cd -3.427 4.072 -1.255
Th -3.427 -1.979 -1.255
Th -3.427 1.979 -3.766

***

Record 8
29
Lattice="1.755 -9.652 1.978 5.317 -2.565 8.081 -4.513 -4.418 7.764" Properties=species:S:1:pos:R:3 comment="Th6Cd23 (PBE, optimized geometry)" delta_e_f_ev_per_atom=-0.111 sg=Fm-3m volume_a3_per_atom=24.44 pbc="T T T"
Cd 2.254 -14.645 15.692
Cd 0.853 -5.541 5.937
Cd 0.878 -4.826 0.989
Cd 2.291 -14.302 12.544
Cd 3.536 -6.109 5.030
Cd -0.520 -13.307 11.477
Cd 0.000 0.000 0.000
Cd -2.048 -4.294 6.181
Cd 1.338 -9.611 14.660
Cd 3.474 -11.947 14.572
Cd 2.352 -4.073 3.356
Cd -1.379 -7.035 4.871
Cd 0.208 -12.562 14.467
Cd -0.914 -4.688 3.251
Cd 0.306 -1.989 2.132
Cd -2.256 -2.209 3.882
Cd 1.222 -7.024 3.164
Cd 3.080 -3.327 6.347
Cd 0.269 -2.333 5.279
Cd 1.707 -11.094 11.887
Cd 0.402 -3.491 7.923
Cd 2.659 -1.283 4.041
Cd 4.608 -12.341 11.642
Th 3.522 -9.827 9.356
Th 1.464 -8.834 6.229
Th 2.842 -6.091 8.590
Th -0.282 -10.544 9.233
Th -0.962 -6.808 8.468
Th 1.096 -7.801 11.595